1.
Entry from the Materials Project database: a relaxed SiO2 crystal (PBE-GGA).

The structure in extended XYZ format:
```
168
Lattice="12.520 0.000 0.000 0.000 29.055 0.000 0.000 0.000 8.438" Properties=species:S:1:pos:R:3 pbc="T T T"
Si 0.434 5.773 0.534
Si 0.434 5.773 3.685
Si 0.434 8.755 4.753
Si 0.434 8.755 7.904
Si 0.620 17.625 4.798
Si 0.620 17.625 7.859
Si 0.620 25.958 0.579
Si 0.620 25.958 3.640
Si 1.958 1.641 0.532
Si 1.958 1.641 3.687
Si 1.958 12.886 4.751
Si 1.958 12.886 7.905
Si 2.707 15.733 0.549
Si 2.707 15.733 3.670
Si 2.707 27.851 4.768
Si 2.707 27.851 7.889
Si 3.350 5.853 4.761
Si 3.350 5.853 7.895
Si 3.350 8.675 0.542
Si 3.350 8.675 3.677
Si 4.593 3.338 0.539
Si 4.593 3.338 3.680
Si 4.593 11.189 4.758
Si 4.593 11.189 7.899
Si 5.697 15.961 4.726
Si 5.697 15.961 7.930
Si 5.697 27.622 0.508
Si 5.697 27.622 3.711
Si 6.823 1.433 4.726
Si 6.823 1.433 7.930
Si 6.823 13.095 0.508
Si 6.823 13.095 3.711
Si 7.928 17.866 0.539
Si 7.928 17.866 3.680
Si 7.928 25.717 4.758
Si 7.928 25.717 7.899
Si 9.170 20.381 4.761
Si 9.170 20.381 7.895
Si 9.170 23.202 0.542
Si 9.170 23.202 3.677
Si 9.814 1.205 0.549
Si 9.814 1.205 3.670
Si 9.814 13.323 4.768
Si 9.814 13.323 7.889
Si 10.562 16.169 0.532
Si 10.562 16.169 3.687
Si 10.562 27.414 4.751
Si 10.562 27.414 7.905
Si 11.901 3.097 4.798
Si 11.901 3.097 7.859
Si 11.901 11.430 0.579
Si 11.901 11.430 3.640
Si 12.086 20.300 0.534
Si 12.086 20.300 3.685
Si 12.086 23.283 4.753
Si 12.086 23.283 7.904
O 0.072 5.650 2.109
O 0.072 8.878 6.328
O 0.088 7.264 0.000
O 0.088 7.264 4.219
O 0.436 19.218 4.528
O 0.436 19.218 8.129
O 0.436 24.365 0.309
O 0.436 24.365 3.910
O 0.801 2.324 4.585
O 0.801 2.324 8.072
O 0.801 12.203 0.366
O 0.801 12.203 3.853
O 1.128 17.395 6.328
O 1.128 26.188 2.109
O 1.637 1.883 2.109
O 1.637 12.645 6.328
O 1.728 17.028 0.451
O 1.728 17.028 3.768
O 1.728 26.555 4.670
O 1.728 26.555 7.987
O 2.009 0.049 0.226
O 2.009 0.049 3.992
O 2.009 14.479 4.445
O 2.009 14.479 8.211
O 2.028 5.458 0.325
O 2.028 5.458 3.894
O 2.028 9.070 4.544
O 2.028 9.070 8.113
O 2.938 6.000 6.328
O 2.938 8.528 2.109
O 2.937 15.345 2.109
O 2.937 28.238 6.328
O 3.393 2.307 0.145
O 3.393 2.307 4.074
O 3.393 12.221 4.363
O 3.393 12.221 8.293
O 3.958 7.264 0.000
O 3.958 7.264 4.219
O 4.124 16.089 4.370
O 4.124 16.089 8.287
O 4.124 27.494 0.151
O 4.124 27.494 4.068
O 4.469 4.687 4.585
O 4.469 4.687 8.071
O 4.469 9.841 0.366
O 4.469 9.841 3.853
O 4.488 3.746 2.109
O 4.488 10.782 6.328
O 5.907 16.100 6.328
O 5.907 27.483 2.109
O 6.022 2.633 0.246
O 6.022 2.633 3.973
O 6.022 11.895 4.465
O 6.022 11.895 8.191
O 6.260 0.000 0.000
O 6.260 0.000 4.219
O 6.260 14.528 0.000
O 6.260 14.528 4.219
O 6.498 17.161 0.246
O 6.498 17.161 3.973
O 6.498 26.422 4.465
O 6.498 26.422 8.191
O 6.613 1.572 6.328
O 6.613 12.956 2.109
O 8.033 18.273 2.109
O 8.033 25.310 6.328
O 8.051 19.214 4.585
O 8.051 19.214 8.071
O 8.051 24.369 0.366
O 8.051 24.369 3.853
O 8.396 1.561 4.370
O 8.396 1.561 8.287
O 8.396 12.966 0.151
O 8.396 12.966 4.068
O 8.562 21.792 0.000
O 8.562 21.792 4.219
O 9.127 16.835 0.145
O 9.127 16.835 4.074
O 9.127 26.748 4.363
O 9.127 26.748 8.293
O 9.583 0.817 2.109
O 9.583 13.711 6.328
O 9.582 20.528 6.328
O 9.582 23.055 2.109
O 10.492 19.986 0.325
O 10.492 19.986 3.894
O 10.492 23.597 4.544
O 10.492 23.597 8.113
O 10.512 14.576 0.226
O 10.512 14.576 3.992
O 10.512 29.007 4.445
O 10.512 29.007 8.211
O 10.792 2.500 0.451
O 10.792 2.500 3.768
O 10.792 12.028 4.670
O 10.792 12.028 7.987
O 10.883 16.411 2.109
O 10.883 27.173 6.328
O 11.392 2.867 6.328
O 11.392 11.660 2.109
O 11.719 16.852 4.585
O 11.719 16.852 8.072
O 11.719 26.731 0.366
O 11.719 26.731 3.853
O 12.084 4.691 4.528
O 12.084 4.691 8.129
O 12.084 9.837 0.309
O 12.084 9.837 3.910
O 12.432 21.792 0.000
O 12.432 21.792 4.219
O 12.448 20.178 2.109
O 12.448 23.405 6.328
```

DFT total energy = -1327.91 eV per cell
energy of formation from the pure elements = -3.255 eV/atom
energy with MP2020 corrections = -8.3623 eV per atom
spin magnetization = 0.00 μB/cell

---

2.
Entry from the Materials Project database: a relaxed Sr4IrO6 crystal (PBE-GGA).

The structure in extended XYZ format:
```
22
Lattice="4.927 2.845 3.986 -4.927 2.845 3.986 0.000 -5.689 3.986" Properties=species:S:1:pos:R:3 pbc="T T T"
Sr -3.125 0.277 4.983
Sr 0.000 0.000 2.990
Sr -1.802 -2.568 6.976
Sr 1.323 -2.845 4.983
Sr -1.323 2.845 6.976
Sr 1.802 2.568 4.983
Sr 0.000 0.000 8.969
Sr 3.125 -0.277 6.976
Ir 0.000 0.000 0.000
Ir 0.000 0.000 5.979
O -4.285 -1.266 6.782
O -1.046 -4.344 5.177
O -1.046 -1.345 4.789
O -3.239 3.078 5.177
O -0.642 1.579 4.789
O -1.688 0.234 7.170
O 1.688 -0.234 4.789
O 0.642 -1.579 7.170
O 3.239 -3.078 6.782
O 1.046 1.345 7.170
O 1.046 4.344 6.782
O 4.285 1.266 5.177
```

DFT total energy = -140.47 eV per cell
energy of formation from the pure elements = -2.643 eV/atom
energy with MP2020 corrections = -6.7599 eV per atom

---

3.
Entry from the Materials Project database: a relaxed LiNiN crystal (PBE-GGA).

The structure in extended XYZ format:
```
3
Lattice="3.624 0.000 0.000 -1.812 3.139 0.000 0.000 0.000 3.420" Properties=species:S:1:pos:R:3 pbc="T T T"
Li 0.000 0.000 0.000
Ni 1.812 1.046 1.710
N 1.812 1.046 0.000
```

DFT total energy = -16.21 eV per cell
energy of formation from the pure elements = -0.182 eV/atom
energy with MP2020 corrections = -5.5235 eV per atom
spin magnetization = 0.00 μB/cell

---

4.
Entry from the Materials Project database: a relaxed AgC4N3 crystal (PBE-GGA).

The structure in extended XYZ format:
```
16
Lattice="-4.000 5.532 3.121 4.000 -5.532 3.121 4.000 5.532 -3.121" Properties=species:S:1:pos:R:3 pbc="T T T"
Ag 2.000 1.417 0.000
Ag 2.000 4.115 3.121
C 2.000 -0.528 2.683
C 2.000 6.060 -0.437
C 2.000 -1.297 3.856
C -0.784 3.888 1.343
C 4.785 3.888 1.343
C 2.000 6.830 0.736
C 0.784 7.177 1.343
C -0.784 1.644 4.463
N 2.000 5.403 -1.406
N 2.000 0.130 1.714
N 0.237 3.602 1.843
N 3.763 3.602 1.843
N -0.237 7.463 1.843
N 0.237 1.931 4.964
```

DFT total energy = -121.76 eV per cell
energy of formation from the pure elements = 0.350 eV/atom
energy with MP2020 corrections = -7.7451 eV per atom
spin magnetization = 0.00 μB/cell

---

5.
Entry from the Materials Project database: a relaxed GdThN2 crystal (PBE-GGA).

The structure in extended XYZ format:
```
4
Lattice="1.805 1.042 5.868 -1.805 1.042 5.868 0.000 -2.084 5.868" Properties=species:S:1:pos:R:3 pbc="T T T"
Gd 0.000 0.000 0.000
Th 0.000 0.000 8.802
N 0.000 0.000 4.404
N 0.000 0.000 13.200
```

DFT total energy = -44.47 eV per cell
energy of formation from the pure elements = -1.758 eV/atom
energy with MP2020 corrections = -11.2992 eV per atom

---

6.
Entry from the Materials Project database: a relaxed Mg6CrCo crystal (PBE-GGA).

The structure in extended XYZ format:
```
16
Lattice="-1.427 -0.638 -4.553 5.268 -2.688 -1.275 -4.093 -9.244 2.578" Properties=species:S:1:pos:R:3 pbc="T T T"
Mg 0.260 -1.753 -2.381
Mg 2.904 -3.101 -3.021
Mg -2.442 -9.071 2.036
Mg 0.257 -10.448 1.383
Mg 1.914 -2.969 -0.184
Mg -0.116 -7.555 1.095
Mg 0.848 -7.719 -1.729
Mg -1.777 -6.379 -1.094
Mg 2.239 -5.793 0.110
Mg -0.330 -4.483 0.732
Mg -2.766 -6.247 1.742
Mg -0.703 -1.589 0.443
Cr -1.493 -9.372 -0.764
Cr -2.080 -3.406 -1.416
Co 0.561 -4.733 -2.058
Co -4.119 -8.011 -0.131
```

DFT total energy = -48.78 eV per cell
energy of formation from the pure elements = 0.246 eV/atom
spin magnetization = 9.78 μB/cell
polymorph energy (0 for the lowest one) = 0 meV/atom